The following is a PBE calculation of a relaxed KLaInBiO6 crystal, from the Materials Project.

Cell lengths 5.9623, 5.9623, 5.9623 Å; angles 60.00, 60.00, 60.00 degrees
Closest atoms and distances in Å follow each position.
Atoms (fractional coordinates):
K 0.2500 0.2500 0.2500  12 O 2.98
La 0.7500 0.7500 0.7500  12 O 2.98
In 0.5000 0.5000 0.5000  6 O 2.12
Bi 0.0000 0.0000 0.0000  6 O 2.10
O 0.7514 0.2486 0.2486  1 Bi 2.10, 1 In 2.12
O 0.2486 0.7514 0.7514  1 Bi 2.10, 1 In 2.12
O 0.7514 0.2486 0.7514  1 Bi 2.10, 1 In 2.12
O 0.2486 0.7514 0.2486  1 Bi 2.10, 1 In 2.12
O 0.7514 0.7514 0.2486  1 Bi 2.10, 1 In 2.12
O 0.2486 0.2486 0.7514  1 Bi 2.10, 1 In 2.12

Values from the calculation:
- total magnetization (μB per formula unit) = 0.00
- symmetry = F-43m, No. 216
- energy relative to the elements (eV/f.u.) = -20.6

The following is a PBE calculation of a relaxed InBi2N3 crystal, from the Materials Project.

Cell lengths 6.3358, 11.0807, 15.0767 Å; angles 90.00, 87.55, 150.98 degrees
Closest atoms and distances in Å follow each position.
Atoms (fractional coordinates):
In 0.5938 0.3293 0.6681  4 N 2.11-2.22
In 0.4062 0.7355 0.8319  4 N 2.11-2.22
In 0.4062 0.6707 0.3319  4 N 2.11-2.22
In 0.5938 0.2645 0.1681  4 N 2.11-2.22
Bi 0.4729 0.0857 0.9168  3 N 2.20-2.22
Bi 0.5271 0.6128 0.5832  3 N 2.20-2.22
Bi 0.5271 0.9143 0.0832  3 N 2.20-2.22
Bi 0.4729 0.3872 0.4168  3 N 2.20-2.22
Bi 0.6193 0.9827 0.6404  3 N 2.19-2.43
Bi 0.3807 0.3635 0.8596  3 N 2.19-2.43
Bi 0.3807 0.0173 0.3596  3 N 2.19-2.43
Bi 0.6193 0.6365 0.1404  3 N 2.19-2.43
N 0.0000 0.6452 0.7500  2 In 2.22, 2 Bi 2.43
N 0.0000 0.3548 0.2500  2 In 2.22, 2 Bi 2.43
N 0.8211 0.2725 0.6231  1 In 2.11, 2 Bi 2.19-2.20
N 0.1789 0.4513 0.8769  1 In 2.11, 2 Bi 2.19-2.20
N 0.1789 0.7275 0.3769  1 In 2.11, 2 Bi 2.19-2.20
N 0.8211 0.5487 0.1231  1 In 2.11, 2 Bi 2.19-2.20
N 0.4205 0.0567 0.0642  1 In 2.17, 2 Bi 2.21-2.22
N 0.5795 0.6362 0.4358  1 In 2.17, 2 Bi 2.21-2.22
N 0.5795 0.9433 0.9358  1 In 2.17, 2 Bi 2.21-2.22
N 0.4205 0.3638 0.5642  1 In 2.17, 2 Bi 2.21-2.22
N 0.0000 0.0900 0.7500  2 In 2.21, 2 Bi 2.30
N 0.0000 0.9100 0.2500  2 In 2.21, 2 Bi 2.30

Values from the calculation:
- total magnetization (μB per formula unit) = 0.00
- symmetry = C2/c, No. 15
- energy relative to the elements (eV/f.u.) = 2.5

The following is a PBE calculation of a relaxed Na3InBi2 crystal, from the Materials Project.

Cell lengths 9.6640, 13.1620, 19.5680 Å; angles 80.92, 90.00, 90.00 degrees
Closest atoms and distances in Å follow each position.
Atoms (fractional coordinates):
Na 0.5737 0.9796 0.5910  4 Bi 3.21-3.37
Na 0.0737 0.5204 0.4090  4 Bi 3.21-3.37
Na 0.9275 0.8087 0.9304  4 Bi 3.25-3.35
Na 0.1785 0.9283 0.5519  5 Bi 3.39-3.66, 1 In 3.70, 1 Na 3.74
Na 0.6539 0.2573 0.6120  4 Bi 3.48-3.54, 1 Na 3.82, 1 In 3.87
Na 0.1834 0.6099 0.7145  5 Bi 3.39-3.72, 2 In 3.65-3.73
Na 0.8098 0.0855 0.9500  5 Bi 3.48-3.75, 4 Na 3.70-3.89, 2 In 3.79-3.88
Na 0.6834 0.8901 0.2855  5 Bi 3.39-3.72, 2 In 3.65-3.73
Na 0.9263 0.4796 0.5910  4 Bi 3.21-3.37
Na 0.0725 0.1913 0.0696  4 Bi 3.25-3.35
Na 0.9311 0.1489 0.7627  4 Bi 3.25-3.32
Na 0.3461 0.7427 0.3880  4 Bi 3.48-3.54, 1 Na 3.82, 1 In 3.87
Na 0.6737 0.9254 0.7817  5 Bi 3.48-3.77, 3 Na 3.81-3.85
Na 0.8126 0.7340 0.1194  5 Bi 3.47-3.88, 2 In 3.61-3.67, 2 Na 3.84-3.87
Na 0.0689 0.8511 0.2373  4 Bi 3.25-3.32
Na 0.8461 0.7573 0.6120  4 Bi 3.48-3.54, 1 Na 3.82, 1 In 3.87
Na 0.6785 0.5717 0.4481  5 Bi 3.39-3.66, 1 In 3.70, 1 Na 3.74
Na 0.5725 0.3087 0.9304  4 Bi 3.25-3.35
Na 0.1874 0.2660 0.8806  5 Bi 3.47-3.88, 2 In 3.61-3.67, 2 Na 3.84-3.87
Na 0.4263 0.0204 0.4090  4 Bi 3.21-3.37
Na 0.1902 0.9145 0.0500  5 Bi 3.48-3.75, 4 Na 3.70-3.89, 2 In 3.79-3.88
Na 0.3126 0.7660 0.8806  5 Bi 3.47-3.88, 2 In 3.61-3.67, 2 Na 3.84-3.87
Na 0.1737 0.5746 0.2183  5 Bi 3.48-3.77, 3 Na 3.81-3.85
Na 0.3166 0.1099 0.7145  5 Bi 3.39-3.72, 2 In 3.65-3.73
Na 0.8166 0.3901 0.2855  5 Bi 3.39-3.72, 2 In 3.65-3.73
Na 0.3263 0.0746 0.2183  5 Bi 3.48-3.77, 3 Na 3.81-3.85
Na 0.5689 0.6489 0.7627  4 Bi 3.25-3.32
Na 0.8263 0.4254 0.7817  5 Bi 3.48-3.77, 3 Na 3.81-3.85
Na 0.1539 0.2427 0.3880  4 Bi 3.48-3.54, 1 Na 3.82, 1 In 3.87
Na 0.4275 0.6913 0.0696  4 Bi 3.25-3.35
Na 0.6874 0.2340 0.1194  5 Bi 3.47-3.88, 2 In 3.61-3.67, 2 Na 3.84-3.87
Na 0.3215 0.4283 0.5519  5 Bi 3.39-3.66, 1 In 3.70, 1 Na 3.74
Na 0.8215 0.0717 0.4481  5 Bi 3.39-3.66, 1 In 3.70, 1 Na 3.74
Na 0.6902 0.5855 0.9500  5 Bi 3.48-3.75, 4 Na 3.70-3.89, 2 In 3.79-3.88
Na 0.3098 0.4145 0.0500  5 Bi 3.48-3.75, 4 Na 3.70-3.89, 2 In 3.79-3.88
Na 0.4311 0.3511 0.2373  4 Bi 3.25-3.32
In 0.0669 0.5505 0.9060  4 Bi 3.08-3.15
In 0.5773 0.6143 0.2514  4 Bi 3.10-3.17
In 0.9331 0.4495 0.0940  4 Bi 3.08-3.15
In 0.0773 0.8857 0.7486  4 Bi 3.10-3.17
In 0.4337 0.7163 0.5828  4 Bi 3.11-3.18
In 0.5663 0.2837 0.4172  4 Bi 3.11-3.18
In 0.9337 0.7837 0.4172  4 Bi 3.11-3.18
In 0.4227 0.3857 0.7486  4 Bi 3.10-3.17
In 0.4331 0.0505 0.9060  4 Bi 3.08-3.15
In 0.9227 0.1143 0.2514  4 Bi 3.10-3.17
In 0.0663 0.2163 0.5828  4 Bi 3.11-3.18
In 0.5669 0.9495 0.0940  4 Bi 3.08-3.15
Bi 0.3775 0.8464 0.7038  2 In 3.10-3.18, 2 Na 3.21-3.25
Bi 0.4028 0.4851 0.3671  2 In 3.11, 3 Na 3.32-3.39
Bi 0.1331 0.6697 0.5308  2 In 3.14-3.17, 4 Na 3.27-3.48
Bi 0.3669 0.1697 0.5308  2 In 3.14-3.17, 4 Na 3.27-3.48
Bi 0.1017 0.3110 0.2075  2 In 3.10-3.12, 3 Na 3.29-3.39
Bi 0.6331 0.8303 0.4692  2 In 3.14-3.17, 4 Na 3.27-3.48
Bi 0.1034 0.6456 0.0427  2 In 3.09-3.15, 2 Na 3.25-3.29
Bi 0.1225 0.3464 0.7038  2 In 3.10-3.18, 2 Na 3.21-3.25
Bi 0.8669 0.3303 0.4692  2 In 3.14-3.17, 4 Na 3.27-3.48
Bi 0.8966 0.3544 0.9573  2 In 3.09-3.15, 2 Na 3.25-3.29
Bi 0.8983 0.6890 0.7925  2 In 3.10-3.12, 3 Na 3.29-3.39
Bi 0.0972 0.9851 0.3671  2 In 3.11, 3 Na 3.32-3.39
Bi 0.3983 0.8110 0.2075  2 In 3.10-3.12, 3 Na 3.29-3.39
Bi 0.3966 0.1456 0.0427  2 In 3.09-3.15, 2 Na 3.25-3.29
Bi 0.3707 0.5036 0.8758  2 In 3.08-3.17, 2 Na 3.27-3.30
Bi 0.9028 0.0149 0.6329  2 In 3.11, 3 Na 3.32-3.39
Bi 0.8775 0.6536 0.2962  2 In 3.10-3.18, 2 Na 3.21-3.25
Bi 0.8707 0.9964 0.1242  2 In 3.08-3.17, 2 Na 3.27-3.30
Bi 0.6293 0.4964 0.1242  2 In 3.08-3.17, 2 Na 3.27-3.30
Bi 0.6034 0.8544 0.9573  2 In 3.09-3.15, 2 Na 3.25-3.29
Bi 0.5972 0.5149 0.6329  2 In 3.11, 3 Na 3.32-3.39
Bi 0.6017 0.1890 0.7925  2 In 3.10-3.12, 3 Na 3.29-3.39
Bi 0.6225 0.1536 0.2962  2 In 3.10-3.18, 2 Na 3.21-3.25
Bi 0.1293 0.0036 0.8758  2 In 3.08-3.17, 2 Na 3.27-3.30

Values from the calculation:
- total magnetization (μB per formula unit) = 0.00
- symmetry = P2_1/c, No. 14
- energy relative to the elements (eV/f.u.) = -1.7

The following is a PBE calculation of a relaxed Na3In2Bi3 crystal, from the Materials Project.

Cell lengths 4.7265, 8.2284, 27.4948 Å; angles 89.79, 90.00, 90.00 degrees
Closest atoms and distances in Å follow each position.
Atoms (fractional coordinates):
Na 0.5000 0.4761 0.8913  5 Bi 3.37-3.54, 3 In 3.60-3.74
Na 0.5000 0.4754 0.5612  5 Bi 3.41-3.45, 4 In 3.52-3.79
Na 0.5000 0.4779 0.2258  5 Bi 3.33-3.51, 2 In 3.59
Na 0.5000 0.9645 0.9376  5 Bi 3.42-3.47, 4 In 3.57-3.58
Na 0.5000 0.9691 0.6076  5 Bi 3.41-3.49, 4 In 3.51-3.67
Na 0.5000 0.9637 0.2727  5 Bi 3.37-3.47, 4 In 3.56-3.58
Na 0.0000 0.5228 0.7717  5 Bi 3.35-3.42, 1 In 3.73
Na 0.0000 0.5292 0.4428  5 Bi 3.26-3.48, 2 In 3.60
Na 0.0000 0.5298 0.1085  5 Bi 3.25-3.44, 2 In 3.59
Na 0.0000 0.0214 0.7265  5 Bi 3.41-3.48, 1 In 3.62
Na 0.0000 0.0212 0.3970  5 Bi 3.39-3.43, 1 In 3.70
Na 0.0000 0.0219 0.0626  5 Bi 3.37-3.47, 1 In 3.56
In 0.5000 0.3617 0.3578  4 Bi 3.04-3.11
In 0.5000 0.3661 0.0233  4 Bi 3.02-3.10
In 0.0000 0.1313 0.8538  4 Bi 3.00-3.19
In 0.0000 0.1350 0.5270  4 Bi 3.00-3.06
In 0.0000 0.1230 0.1884  4 Bi 2.99-3.16
In 0.0000 0.6595 0.9735  4 Bi 3.00-3.29
In 0.0000 0.6459 0.6412  4 Bi 3.03-3.08
In 0.0000 0.6587 0.3077  4 Bi 2.99-3.27
Bi 0.5000 0.7188 0.7067  2 In 3.03, 2 Na 3.37
Bi 0.5000 0.7349 0.3748  3 In 3.06-3.11, 3 Na 3.37-3.39
Bi 0.5000 0.7352 0.0414  3 In 3.08, 5 Na 3.39-3.44
Bi 0.5000 0.2303 0.7935  2 In 3.00
Bi 0.5000 0.2252 0.4617  3 In 3.06-3.07, 2 Na 3.40
Bi 0.5000 0.2354 0.1294  3 In 3.01-3.10, 1 Na 3.33
Bi 0.0000 0.2616 0.9629  4 In 3.02-3.29, 1 Na 3.37
Bi 0.0000 0.2739 0.6277  2 In 3.00-3.08
Bi 0.0000 0.2633 0.2951  4 In 3.04-3.27
Bi 0.0000 0.7675 0.8690  2 In 3.00-3.02, 1 Na 3.35
Bi 0.0000 0.7706 0.5366  2 In 3.01-3.05, 1 Na 3.26
Bi 0.0000 0.7634 0.2034  2 In 2.99, 1 Na 3.25

Values from the calculation:
- total magnetization (μB per formula unit) = 0.00
- symmetry = Pm, No. 6
- energy relative to the elements (eV/f.u.) = -1.4

The following is a PBE calculation of a relaxed NbInBi2O7 crystal, from the Materials Project.

Cell lengths 7.6317, 7.6317, 7.6317 Å; angles 120.56, 119.79, 89.70 degrees
Closest atoms and distances in Å follow each position.
Atoms (fractional coordinates):
Nb 0.5000 0.5000 0.0000  6 O 1.99-2.03
Nb 0.0000 0.5000 0.5000  6 O 1.99-2.03
In 0.5000 0.5000 0.5000  6 O 2.19-2.22
In 0.5000 0.0000 0.0000  6 O 2.19-2.22
Bi 0.0000 0.0000 0.5000  6 O 2.29-2.53
Bi 0.0000 0.5000 0.0000  6 O 2.29-2.53
Bi 0.0000 0.0000 0.0000  4 O 2.38-2.50
Bi 0.5000 0.0000 0.5000  4 O 2.38-2.50
O 0.7990 0.5490 0.2500  2 Nb 1.99
O 0.3986 0.1486 0.2500  2 In 2.19
O 0.8492 0.1771 0.2785  1 Nb 2.03, 1 In 2.22
O 0.3986 0.5706 0.2215  1 Nb 2.03, 1 In 2.22
O 0.8492 0.5706 0.6720  1 Nb 2.03, 1 In 2.22
O 0.3986 0.1771 0.8280  1 Nb 2.03, 1 In 2.22
O 0.2010 0.4510 0.7500  2 Nb 1.99
O 0.6014 0.8514 0.7500  2 In 2.19
O 0.1508 0.8229 0.7215  1 Nb 2.03, 1 In 2.22
O 0.6014 0.4294 0.7785  1 Nb 2.03, 1 In 2.22
O 0.1508 0.4294 0.3280  1 Nb 2.03, 1 In 2.22
O 0.6014 0.8229 0.1720  1 Nb 2.03, 1 In 2.22
O 0.1201 0.8701 0.2500  4 Bi 2.29-2.38
O 0.8799 0.1299 0.7500  4 Bi 2.29-2.38

Values from the calculation:
- total magnetization (μB per formula unit) = 0.00
- symmetry = Imma, No. 74
- energy relative to the elements (eV/f.u.) = -23.7

What is the formula in the fourth record? Na3In2Bi3

Number 2 is which compound? InBi2N3